Entry from the Materials Project database: a geometry-optimized USbPd2 structure (GGA-PBE).

Values from the calculation:
For the energy of formation from the pure elements, the calculation gives -0.434 eV/atom. For the magnetization, the calculation gives 2.3 μB per formula unit. Its energy is -6.8786 eV/atom.

a = 4.847 Å, b = 4.847 Å, c = 4.847 Å
α = 60.00°, β = 60.00°, γ = 60.00°
Fractional positions:
1 U 0.000 0.000 0.000
2 Sb 0.500 0.500 0.500
3 Pd 0.250 0.250 0.250
4 Pd 0.750 0.750 0.750

=====

Entry from the Materials Project database: a geometry-optimized U3Sb4Pd3 structure (GGA-PBE).

Values from the calculation:
For the energy of formation from the pure elements, the calculation gives -0.493 eV/atom. For the magnetization, the calculation gives 6.0 μB per formula unit. Its energy is -7.0865 eV/atom.

a = 8.430 Å, b = 8.430 Å, c = 8.430 Å
α = 109.47°, β = 109.47°, γ = 109.47°
Fractional positions:
1 U 0.125 0.875 0.250
2 U 0.250 0.125 0.875
3 U 0.375 0.625 0.750
4 U 0.625 0.750 0.375
5 U 0.750 0.375 0.625
6 U 0.875 0.250 0.125
7 Sb 0.000 0.171 0.500
8 Sb 0.000 0.671 0.500
9 Sb 0.171 0.500 0.000
10 Sb 0.329 0.329 0.329
11 Sb 0.500 0.000 0.171
12 Sb 0.500 0.000 0.671
13 Sb 0.671 0.500 0.000
14 Sb 0.829 0.829 0.829
15 Pd 0.125 0.750 0.875
16 Pd 0.250 0.625 0.375
17 Pd 0.375 0.250 0.625
18 Pd 0.625 0.375 0.250
19 Pd 0.750 0.875 0.125
20 Pd 0.875 0.125 0.750